The following is a DFT calculation (GGA+U) of crystalline LiNi4P3O12 at its relaxed geometry.

Cell lengths 9.005, 6.399, 14.530 Å; angles 90.00, 90.33, 90.00 degrees
Sites, in units of the cell vectors:
Li 0.000 0.000 0.000
Li 0.004 0.000 0.335
Li 0.184 0.500 0.490
Li 0.996 0.000 0.664
Ni 0.196 0.500 0.823
Ni 0.336 0.248 0.005
Ni 0.336 0.752 0.005
Ni 0.338 0.256 0.342
Ni 0.338 0.744 0.342
Ni 0.349 0.254 0.675
Ni 0.349 0.746 0.675
Ni 0.487 0.000 0.185
Ni 0.496 0.000 0.527
Ni 0.694 0.500 0.024
Ni 0.833 0.249 0.839
Ni 0.833 0.751 0.839
Ni 0.842 0.258 0.504
Ni 0.842 0.742 0.504
Ni 0.851 0.251 0.174
Ni 0.851 0.749 0.174
P 0.017 0.500 0.997
P 0.018 0.500 0.665
P 0.021 0.500 0.333
P 0.160 0.000 0.834
P 0.161 0.000 0.501
P 0.166 0.000 0.163
P 0.514 0.500 0.853
P 0.522 0.500 0.180
P 0.527 0.500 0.508
P 0.662 0.000 0.011
P 0.665 0.000 0.352
P 0.665 0.000 0.684
O 0.190 0.500 0.972
O 0.195 0.500 0.325
O 0.196 0.500 0.657
O 0.200 0.000 0.939
O 0.206 0.000 0.606
O 0.214 0.000 0.268
O 0.222 0.199 0.457
O 0.222 0.801 0.457
O 0.223 0.198 0.788
O 0.223 0.802 0.788
O 0.225 0.199 0.118
O 0.225 0.801 0.118
O 0.458 0.299 0.898
O 0.458 0.701 0.898
O 0.461 0.500 0.750
O 0.463 0.303 0.557
O 0.463 0.500 0.408
O 0.463 0.697 0.557
O 0.464 0.301 0.226
O 0.464 0.699 0.226
O 0.477 0.500 0.074
O 0.487 0.000 0.371
O 0.488 0.000 0.679
O 0.490 0.000 0.039
O 0.691 0.500 0.875
O 0.693 0.000 0.242
O 0.697 0.500 0.180
O 0.697 0.500 0.521
O 0.708 0.000 0.910
O 0.710 0.000 0.577
O 0.718 0.201 0.728
O 0.718 0.799 0.728
O 0.725 0.197 0.059
O 0.725 0.200 0.392
O 0.725 0.800 0.392
O 0.725 0.803 0.059
O 0.957 0.299 0.952
O 0.957 0.701 0.952
O 0.963 0.299 0.620
O 0.963 0.701 0.620
O 0.964 0.297 0.288
O 0.964 0.703 0.288
O 0.969 0.500 0.099
O 0.977 0.500 0.438
O 0.982 0.500 0.772
O 0.988 0.000 0.484
O 0.988 0.000 0.814
O 0.990 0.000 0.148

Properties
symmetry = No. 6
theoretical density = 4.2 g/cm3
energy relative to the lowest polymorph listed for this composition = 0.0263 eV/atom
total moment = 32.00 μB per cell
VASP energy = -0.2300 hartree per atom
DFT formation energy = -49.5 kcal/mol of atoms